An optimized crystal structure of Ho4NiB14, computed with GGA-PBE.

a = 7.210 Å, b = 7.210 Å, c = 7.472 Å
α = 90.00°, β = 90.00°, γ = 90.00°
Element x y z (fractional)
B1 0.961 0.175 0.232
B2 0.325 0.539 0.268
B3 0.175 0.039 0.768
B4 0.039 0.825 0.232
B5 0.175 0.039 0.232
B6 0.000 0.000 0.611
B7 0.039 0.825 0.768
B8 0.500 0.500 0.111
B9 0.411 0.089 0.750
B10 0.675 0.461 0.268
B11 0.461 0.325 0.732
B12 0.325 0.539 0.732
B13 0.539 0.675 0.268
B14 0.539 0.675 0.732
B15 0.500 0.500 0.889
B16 0.589 0.911 0.750
B17 0.911 0.411 0.750
B18 0.589 0.911 0.250
B19 0.089 0.589 0.250
B20 0.825 0.961 0.232
B21 0.089 0.589 0.750
B22 0.825 0.961 0.768
B23 0.675 0.461 0.732
B24 0.411 0.089 0.250
B25 0.911 0.411 0.250
B26 0.961 0.175 0.768
B27 0.461 0.325 0.268
B28 0.000 0.000 0.389
Ho1 0.306 0.832 0.500
Ho2 0.168 0.306 0.500
Ho3 0.694 0.168 0.500
Ho4 0.806 0.668 0.000
Ho5 0.332 0.806 0.000
Ho6 0.832 0.694 0.500
Ho7 0.194 0.332 0.000
Ho8 0.668 0.194 0.000
Ni1 0.000 0.000 0.000
Ni2 0.500 0.500 0.500

Computed properties:
V	388.5	Å³ per cell
formation enthalpy at 0 K	-0.62	eV/atom
SG	P4/mnc (128)

An optimized crystal structure of CeB2ClO4, computed with GGA-PBE.

a = 4.251 Å, b = 6.660 Å, c = 8.204 Å
α = 98.05°, β = 89.06°, γ = 107.59°
Element x y z (fractional)
B1 0.833 0.349 0.149
B2 0.436 0.563 0.195
B3 0.167 0.651 0.851
B4 0.564 0.437 0.805
O1 0.370 0.237 0.790
O2 0.097 0.535 0.179
O3 0.522 0.374 0.183
O4 0.840 0.154 0.079
O5 0.903 0.465 0.821
O6 0.478 0.626 0.817
O7 0.630 0.763 0.210
O8 0.160 0.846 0.921
Ce1 0.798 0.035 0.779
Ce2 0.202 0.965 0.221
Cl1 0.853 0.198 0.456
Cl2 0.147 0.802 0.544

Computed properties:
V	219.1	Å³ per cell
magnetization	2.00	Bohr magnetons per cell
formation enthalpy at 0 K	-2.98	eV/atom
SG	P-1 (2)
energy with MP2020 corrections	-8.10	eV/atom

An optimized crystal structure of Zn3P2O8, computed with GGA-PBE.

a = 9.140 Å, b = 4.991 Å, c = 8.245 Å
α = 53.49°, β = 90.00°, γ = 90.00°
Element x y z (fractional)
P1 0.312 0.815 0.169
P2 0.688 0.185 0.831
P3 0.188 0.815 0.669
P4 0.812 0.185 0.331
O1 0.318 0.543 0.130
O2 0.848 0.139 0.789
O3 0.348 0.861 0.711
O4 0.182 0.543 0.630
O5 0.371 0.154 0.981
O6 0.411 0.696 0.353
O7 0.629 0.846 0.019
O8 0.818 0.457 0.370
O9 0.152 0.861 0.211
O10 0.911 0.304 0.147
O11 0.129 0.154 0.481
O12 0.089 0.696 0.853
O13 0.589 0.304 0.647
O14 0.652 0.139 0.289
O15 0.682 0.457 0.870
O16 0.871 0.846 0.519
Zn1 0.129 0.304 0.166
Zn2 0.871 0.696 0.834
Zn3 0.371 0.304 0.666
Zn4 0.629 0.696 0.334
Zn5 0.000 0.500 0.500
Zn6 0.500 0.500 0.000

Computed properties:
V	302.3	Å³ per cell
magnetization	0.01	Bohr magnetons per cell
formation enthalpy at 0 K	-2.33	eV/atom
E above lowest polymorph	0.040	eV/atom
SG	P2_1/c (14)
energy with MP2020 corrections	-6.50	eV/atom

An optimized crystal structure of La4S3N2, computed with GGA-PBE.

a = 4.091 Å, b = 6.644 Å, c = 15.710 Å
α = 90.00°, β = 90.00°, γ = 90.00°
Element x y z (fractional)
N1 0.000 0.872 0.584
N2 0.000 0.128 0.416
N3 0.500 0.372 0.916
N4 0.500 0.628 0.084
S1 0.000 0.000 0.000
S2 0.000 0.724 0.800
S3 0.500 0.776 0.300
S4 0.500 0.500 0.500
S5 0.500 0.224 0.700
S6 0.000 0.276 0.200
La1 0.000 0.270 0.844
La2 0.000 0.778 0.435
La3 0.500 0.722 0.935
La4 0.000 0.222 0.565
La5 0.500 0.230 0.344
La6 0.000 0.730 0.156
La7 0.500 0.770 0.656
La8 0.500 0.278 0.065

Computed properties:
V	427.0	Å³ per cell
formation enthalpy at 0 K	-2.19	eV/atom
SG	Pnnm (58)
energy with MP2020 corrections	-7.61	eV/atom

An optimized crystal structure of LiInSi2O6, computed with GGA-PBE.

a = 6.789 Å, b = 6.789 Å, c = 5.452 Å
α = 74.84°, β = 74.84°, γ = 85.53°
Element x y z (fractional)
O1 0.369 0.334 0.453
O2 0.334 0.369 0.953
O3 0.615 0.132 0.131
O4 0.039 0.206 0.836
O5 0.385 0.868 0.869
O6 0.631 0.666 0.547
O7 0.206 0.039 0.336
O8 0.961 0.794 0.164
O9 0.794 0.961 0.664
O10 0.868 0.385 0.369
O11 0.666 0.631 0.047
O12 0.132 0.615 0.631
In1 0.890 0.110 0.250
In2 0.110 0.890 0.750
Si1 0.783 0.614 0.281
Si2 0.217 0.386 0.719
Si3 0.386 0.217 0.219
Si4 0.614 0.783 0.781
Li1 0.757 0.243 0.750
Li2 0.243 0.757 0.250

Computed properties:
V	234.1	Å³ per cell
magnetization	0.00	Bohr magnetons per cell
formation enthalpy at 0 K	-2.83	eV/atom
SG	C2/c (15)
energy with MP2020 corrections	-7.35	eV/atom

An optimized crystal structure of SrCu2SnS4, computed with GGA-PBE.

a = 6.347 Å, b = 6.347 Å, c = 15.589 Å
α = 90.00°, β = 90.00°, γ = 120.00°
Element x y z (fractional)
Cu1 0.636 0.073 0.412
Cu2 0.563 0.927 0.921
Cu3 0.073 0.636 0.588
Cu4 0.927 0.563 0.079
Cu5 0.437 0.364 0.746
Cu6 0.364 0.437 0.254
Sr1 0.437 0.437 0.500
Sr2 0.000 0.563 0.833
Sr3 0.563 0.000 0.167
S1 0.514 0.559 0.879
S2 0.117 0.353 0.671
S3 0.883 0.236 0.995
S4 0.764 0.647 0.662
S5 0.353 0.117 0.329
S6 0.486 0.045 0.787
S7 0.647 0.764 0.338
S8 0.236 0.883 0.005
S9 0.955 0.441 0.454
S10 0.441 0.955 0.546
S11 0.559 0.514 0.121
S12 0.045 0.486 0.213
Sn1 0.705 0.000 0.667
Sn2 0.295 0.295 0.000
Sn3 0.000 0.705 0.333

Computed properties:
V	543.9	Å³ per cell
magnetization	0.00	Bohr magnetons per cell
formation enthalpy at 0 K	-1.03	eV/atom
SG	P3_221 (154)
energy with MP2020 corrections	-4.83	eV/atom

An optimized crystal structure of BeGaIr2, computed with GGA-PBE.

a = 4.164 Å, b = 4.164 Å, c = 4.164 Å
α = 60.00°, β = 60.00°, γ = 60.00°
Element x y z (fractional)
Ir1 0.750 0.750 0.750
Ir2 0.250 0.250 0.250
Ga1 0.000 0.000 0.000
Be1 0.500 0.500 0.500

Computed properties:
V	51.1	Å³ per cell
formation enthalpy at 0 K	-0.49	eV/atom
SG	Fm-3m (225)

An optimized crystal structure of CaSb2, computed with GGA-PBE.

a = 4.326 Å, b = 4.686 Å, c = 8.902 Å
α = 74.80°, β = 90.00°, γ = 90.00°
Element x y z (fractional)
Ca1 0.250 0.122 0.294
Ca2 0.750 0.878 0.706
Sb1 0.750 0.229 0.983
Sb2 0.750 0.581 0.379
Sb3 0.250 0.419 0.621
Sb4 0.250 0.771 0.017

Computed properties:
V	174.2	Å³ per cell
formation enthalpy at 0 K	-0.74	eV/atom
SG	P2_1/m (11)
energy with MP2020 corrections	-4.16	eV/atom

An optimized crystal structure of Ag7Sb9O25, computed with GGA-PBE.

a = 12.785 Å, b = 12.785 Å, c = 12.785 Å
α = 33.36°, β = 33.36°, γ = 33.36°
Element x y z (fractional)
Ag1 0.248 0.248 0.751
Ag2 0.747 0.747 0.256
Ag3 0.747 0.256 0.747
Ag4 0.256 0.747 0.747
Ag5 0.751 0.248 0.248
Ag6 0.248 0.751 0.248
Ag7 0.000 0.000 0.000
O1 0.587 0.987 0.587
O2 0.084 0.494 0.084
O3 0.987 0.587 0.587
O4 0.516 0.911 0.911
O5 0.658 0.219 0.658
O6 0.614 0.211 0.211
O7 0.278 0.899 0.278
O8 0.911 0.516 0.911
O9 0.211 0.211 0.614
O10 0.587 0.587 0.987
O11 0.911 0.911 0.516
O12 0.412 0.012 0.412
O13 0.012 0.412 0.412
O14 0.219 0.658 0.658
O15 0.845 0.845 0.845
O16 0.787 0.787 0.386
O17 0.211 0.614 0.211
O18 0.658 0.658 0.219
O19 0.787 0.386 0.787
O20 0.899 0.278 0.278
O21 0.278 0.278 0.899
O22 0.386 0.787 0.787
O23 0.084 0.084 0.494
O24 0.412 0.412 0.012
O25 0.494 0.084 0.084
Sb1 0.250 0.250 0.250
Sb2 0.486 0.486 0.486
Sb3 0.500 0.999 0.500
Sb4 0.999 0.500 0.500
Sb5 0.500 0.500 0.999
Sb6 0.997 0.508 0.997
Sb7 0.750 0.750 0.750
Sb8 0.997 0.997 0.508
Sb9 0.508 0.997 0.997

Computed properties:
V	562.6	Å³ per cell
magnetization	0.00	Bohr magnetons per cell
formation enthalpy at 0 K	-1.44	eV/atom
SG	R3m (160)
energy with MP2020 corrections	-5.84	eV/atom

An optimized crystal structure of Ag3Hg, computed with GGA-PBE.

a = 6.022 Å, b = 6.022 Å, c = 4.839 Å
α = 90.00°, β = 90.00°, γ = 120.00°
Element x y z (fractional)
Hg1 0.667 0.333 0.250
Hg2 0.333 0.667 0.750
Ag1 0.671 0.836 0.250
Ag2 0.836 0.164 0.750
Ag3 0.164 0.329 0.250
Ag4 0.836 0.671 0.750
Ag5 0.164 0.836 0.250
Ag6 0.329 0.164 0.750

Computed properties:
V	152.0	Å³ per cell
formation enthalpy at 0 K	0.03	eV/atom
SG	P6_3/mmc (194)

An optimized crystal structure of PmSe3, computed with GGA-PBE.

a = 6.132 Å, b = 6.132 Å, c = 6.132 Å
α = 140.32°, β = 140.32°, γ = 57.36°
Element x y z (fractional)
Pm1 0.000 0.000 0.000
Se1 0.500 0.500 0.000
Se2 0.750 0.250 0.500
Se3 0.250 0.750 0.500

Computed properties:
V	93.2	Å³ per cell
magnetization	0.00	Bohr magnetons per cell
formation enthalpy at 0 K	-1.26	eV/atom
SG	I4/mmm (139)
energy with MP2020 corrections	-5.07	eV/atom

An optimized crystal structure of KSO6, computed with GGA-PBE.

a = 10.421 Å, b = 10.421 Å, c = 7.847 Å
α = 88.16°, β = 88.16°, γ = 43.84°
Element x y z (fractional)
O1 0.224 0.968 0.957
O2 0.875 0.400 0.448
O3 0.400 0.875 0.948
O4 0.776 0.342 0.045
O5 0.041 0.590 0.250
O6 0.663 0.508 0.716
O7 0.125 0.600 0.552
O8 0.968 0.224 0.457
O9 0.706 0.698 0.594
O10 0.294 0.302 0.406
O11 0.590 0.041 0.750
O12 0.658 0.224 0.455
O13 0.410 0.959 0.250
O14 0.302 0.294 0.906
O15 0.342 0.776 0.545
O16 0.032 0.776 0.543
O17 0.224 0.658 0.955
O18 0.698 0.706 0.094
O19 0.337 0.492 0.284
O20 0.492 0.337 0.784
O21 0.508 0.663 0.216
O22 0.959 0.410 0.750
O23 0.776 0.032 0.043
O24 0.600 0.125 0.052
S1 0.787 0.519 0.656
S2 0.481 0.213 0.844
S3 0.213 0.481 0.344
S4 0.519 0.787 0.156
K1 0.930 0.697 0.870
K2 0.070 0.303 0.130
K3 0.303 0.070 0.630
K4 0.697 0.930 0.370

Computed properties:
V	589.9	Å³ per cell
magnetization	12.00	Bohr magnetons per cell
formation enthalpy at 0 K	-0.76	eV/atom
SG	C2/c (15)
energy with MP2020 corrections	-5.13	eV/atom

An optimized crystal structure of Tb4Al2O9, computed with GGA-PBE.

a = 10.598 Å, b = 7.465 Å, c = 11.285 Å
α = 71.45°, β = 90.00°, γ = 90.00°
Element x y z (fractional)
O1 0.737 0.767 0.267
O2 0.233 0.074 0.020
O3 0.238 0.790 0.253
O4 0.517 0.307 0.659
O5 0.260 0.434 0.386
O6 0.506 0.077 0.107
O7 0.018 0.213 0.843
O8 0.483 0.693 0.341
O9 0.733 0.926 0.480
O10 0.738 0.210 0.247
O11 0.494 0.923 0.893
O12 0.740 0.566 0.614
O13 0.729 0.358 0.463
O14 0.518 0.787 0.657
O15 0.762 0.210 0.747
O16 0.760 0.566 0.114
O17 0.267 0.074 0.520
O18 0.763 0.767 0.767
O19 0.767 0.926 0.980
O20 0.229 0.642 0.037
O21 0.482 0.213 0.343
O22 0.271 0.642 0.537
O23 0.994 0.077 0.607
O24 0.006 0.923 0.393
O25 0.992 0.435 0.393
O26 0.263 0.233 0.733
O27 0.240 0.434 0.886
O28 0.771 0.358 0.963
O29 0.237 0.233 0.233
O30 0.983 0.307 0.159
O31 0.262 0.790 0.753
O32 0.982 0.787 0.157
O33 0.508 0.435 0.893
O34 0.492 0.565 0.107
O35 0.008 0.565 0.607
O36 0.017 0.693 0.841
Tb1 0.878 0.162 0.417
Tb2 0.874 0.662 0.436
Tb3 0.404 0.024 0.695
Tb4 0.122 0.838 0.583
Tb5 0.374 0.338 0.064
Tb6 0.096 0.024 0.195
Tb7 0.596 0.976 0.305
Tb8 0.390 0.524 0.716
Tb9 0.626 0.662 0.936
Tb10 0.378 0.838 0.083
Tb11 0.126 0.338 0.564
Tb12 0.110 0.524 0.216
Tb13 0.610 0.476 0.284
Tb14 0.622 0.162 0.917
Tb15 0.904 0.976 0.805
Tb16 0.890 0.476 0.784
Al1 0.820 0.781 0.127
Al2 0.823 0.346 0.113
Al3 0.323 0.654 0.387
Al4 0.177 0.654 0.887
Al5 0.320 0.219 0.373
Al6 0.677 0.346 0.613
Al7 0.180 0.219 0.873
Al8 0.680 0.781 0.627

Computed properties:
V	846.4	Å³ per cell
magnetization	0.00	Bohr magnetons per cell
formation enthalpy at 0 K	-3.82	eV/atom
SG	P2_1/c (14)
energy with MP2020 corrections	-8.52	eV/atom

An optimized crystal structure of NaH4BrO2, computed with GGA-PBE.

a = 10.471 Å, b = 6.644 Å, c = 6.800 Å
α = 66.55°, β = 90.00°, γ = 90.00°
Element x y z (fractional)
O1 0.989 0.217 0.280
O2 0.314 0.208 0.178
O3 0.186 0.208 0.678
O4 0.489 0.783 0.220
O5 0.814 0.792 0.322
O6 0.511 0.217 0.780
O7 0.686 0.792 0.822
O8 0.011 0.783 0.720
H1 0.210 0.358 0.585
H2 0.516 0.635 0.235
H3 0.484 0.365 0.765
H4 0.598 0.775 0.777
H5 0.037 0.765 0.865
H6 0.902 0.775 0.277
H7 0.016 0.365 0.265
H8 0.790 0.642 0.415
H9 0.537 0.235 0.635
H10 0.963 0.235 0.135
H11 0.402 0.225 0.223
H12 0.463 0.765 0.365
H13 0.984 0.635 0.735
H14 0.290 0.358 0.085
H15 0.098 0.225 0.723
H16 0.710 0.642 0.915
Br1 0.385 0.701 0.710
Br2 0.615 0.299 0.290
Br3 0.885 0.299 0.790
Br4 0.115 0.701 0.210
Na1 0.832 0.013 0.543
Na2 0.668 0.013 0.043
Na3 0.168 0.987 0.457
Na4 0.332 0.987 0.957

Computed properties:
V	434.0	Å³ per cell
magnetization	0.00	Bohr magnetons per cell
formation enthalpy at 0 K	-1.34	eV/atom
SG	P2_1/c (14)
energy with MP2020 corrections	-4.64	eV/atom